Entry 1:
DFT (GGA-PBE) results for a geometry-optimized NdRh3 structure.

Computed properties:
M_tot in μB per atom: 0.003
V in Å³ per cell: 75.32
Energy in eV/atom: -6.71
Calculated density in kg/m³: 9987
Space-group type: P6/mmm (191)

Cell lengths 5.311, 5.311, 3.083 Å; angles 90.00, 90.00, 120.00 degrees
Fractional positions:
Nd (0.000, 0.000, 0.000)
Rh (0.000, 0.500, 0.500)
Rh (0.500, 0.000, 0.500)
Rh (0.500, 0.500, 0.500)



Entry 2:
DFT (GGA-PBE) results for a geometry-optimized Nd2Si4Ru3Rh structure.

Computed properties:
M_tot in μB per atom: 0.000
V in Å³ per cell: 174.35
Energy in eV/atom: -7.59
Calculated density in kg/m³: 7686
Space-group type: P-4m2 (115)

Cell lengths 4.186, 4.186, 9.949 Å; angles 90.00, 90.00, 90.00 degrees
Fractional positions:
Nd (0.000, 0.500, 0.248)
Nd (0.500, 0.000, 0.752)
Si (0.000, 0.500, 0.620)
Si (0.000, 0.500, 0.885)
Si (0.500, 0.000, 0.115)
Si (0.500, 0.000, 0.380)
Ru (0.000, 0.000, 0.000)
Ru (0.500, 0.500, 0.000)
Ru (0.500, 0.500, 0.500)
Rh (0.000, 0.000, 0.500)



Entry 3:
DFT (GGA-PBE) results for a geometry-optimized Nd8Sb14Rh17 structure.

Computed properties:
M_tot in μB per atom: 0.002
V in Å³ per cell: 1652.35
Energy in eV/atom: -6.48
Calculated density in kg/m³: 9262
Space-group type: I4cm (108)

Cell lengths 13.944, 13.944, 13.944 Å; angles 127.57, 127.57, 77.32 degrees
Fractional positions:
Nd (0.000, 0.000, 0.000)
Nd (0.002, 0.502, 0.500)
Nd (0.006, 0.748, 0.238)
Nd (0.010, 0.248, 0.742)
Nd (0.241, 0.274, 0.500)
Nd (0.248, 0.506, 0.238)
Nd (0.268, 0.010, 0.762)
Nd (0.274, 0.774, 0.032)
Nd (0.500, 0.500, 0.000)
Nd (0.502, 0.002, 0.500)
Nd (0.506, 0.268, 0.258)
Nd (0.510, 0.768, 0.762)
Nd (0.741, 0.241, 0.968)
Nd (0.748, 0.510, 0.742)
Nd (0.768, 0.006, 0.258)
Nd (0.774, 0.741, 0.500)
Sb (0.002, 0.045, 0.273)
Sb (0.045, 0.772, 0.043)
Sb (0.052, 0.312, 0.237)
Sb (0.075, 0.815, 0.763)
Sb (0.206, 0.706, 0.500)
Sb (0.207, 0.207, 0.000)
Sb (0.229, 0.272, 0.727)
Sb (0.272, 0.545, 0.043)
Sb (0.272, 0.949, 0.500)
Sb (0.312, 0.075, 0.260)
Sb (0.315, 0.575, 0.763)
Sb (0.439, 0.455, 0.500)
Sb (0.449, 0.772, 0.500)
Sb (0.455, 0.955, 0.016)
Sb (0.502, 0.229, 0.957)
Sb (0.545, 0.502, 0.273)
Sb (0.552, 0.315, 0.740)
Sb (0.575, 0.812, 0.260)
Sb (0.706, 0.206, 0.500)
Sb (0.707, 0.707, 0.000)
Sb (0.729, 0.002, 0.957)
Sb (0.772, 0.272, 0.324)
Sb (0.772, 0.729, 0.727)
Sb (0.812, 0.552, 0.237)
Sb (0.815, 0.052, 0.740)
Sb (0.939, 0.439, 0.984)
Sb (0.949, 0.449, 0.676)
Sb (0.955, 0.939, 0.500)
Rh (0.004, 0.250, 0.989)
Rh (0.008, 0.745, 0.500)
Rh (0.010, 0.510, 0.248)
Rh (0.015, 0.004, 0.754)
Rh (0.042, 0.542, 0.957)
Rh (0.085, 0.042, 0.500)
Rh (0.181, 0.491, 0.778)
Rh (0.213, 0.991, 0.309)
Rh (0.245, 0.508, 0.500)
Rh (0.249, 0.749, 0.251)
Rh (0.250, 0.260, 0.246)
Rh (0.260, 0.015, 0.011)
Rh (0.262, 0.762, 0.752)
Rh (0.334, 0.334, 0.000)
Rh (0.403, 0.181, 0.691)
Rh (0.491, 0.713, 0.309)
Rh (0.498, 0.998, 0.749)
Rh (0.504, 0.515, 0.754)
Rh (0.508, 0.008, 0.263)
Rh (0.510, 0.262, 0.500)
Rh (0.515, 0.760, 0.011)
Rh (0.542, 0.585, 0.500)
Rh (0.585, 0.085, 0.043)
Rh (0.681, 0.903, 0.691)
Rh (0.713, 0.403, 0.222)
Rh (0.745, 0.245, 0.737)
Rh (0.749, 0.498, 0.500)
Rh (0.750, 0.504, 0.989)
Rh (0.760, 0.750, 0.246)
Rh (0.762, 0.010, 0.500)
Rh (0.834, 0.834, 0.000)
Rh (0.903, 0.213, 0.222)
Rh (0.991, 0.681, 0.778)
Rh (0.998, 0.249, 0.500)



Entry 4:
DFT (GGA-PBE) results for a geometry-optimized NdSi2Rh2 structure.

Computed properties:
V in Å³ per cell: 86.19
Energy in eV/atom: -7.16
Calculated density in kg/m³: 7827
Space-group type: I4/mmm (139)

Cell lengths 5.867, 5.867, 5.867 Å; angles 138.96, 138.96, 59.43 degrees
Fractional positions:
Nd (0.000, 0.000, 0.000)
Si (0.376, 0.376, 0.000)
Si (0.624, 0.624, 0.000)
Rh (0.250, 0.750, 0.500)
Rh (0.750, 0.250, 0.500)



Entry 5:
DFT (GGA-PBE) results for a geometry-optimized NdSi2Rh3 structure.

Computed properties:
V in Å³ per cell: 197.77
Energy relative to the lowest polymorph listed for this composition in meV/atom: 0
Calculated density in kg/m³: 8550
Space-group type: Imma (74)

Cell lengths 6.691, 6.691, 6.691 Å; angles 115.05, 85.98, 130.29 degrees
Fractional positions:
Nd (0.461, 0.211, 0.250)
Nd (0.539, 0.789, 0.750)
Si (0.119, 0.698, 0.421)
Si (0.224, 0.302, 0.921)
Si (0.776, 0.698, 0.079)
Si (0.881, 0.302, 0.579)
Rh (0.000, 0.000, 0.500)
Rh (0.000, 0.216, 0.216)
Rh (0.000, 0.500, 0.000)
Rh (0.000, 0.784, 0.784)
Rh (0.500, 0.216, 0.716)
Rh (0.500, 0.784, 0.284)



Entry 6:
DFT (GGA-PBE) results for a geometry-optimized Nd2Si5Rh3 structure.

Computed properties:
V in Å³ per cell: 345.34
Energy in eV/atom: -6.84
Calculated density in kg/m³: 7094
Space-group type: Ibam (72)

Cell lengths 8.256, 8.256, 8.256 Å; angles 105.51, 89.20, 138.30 degrees
Fractional positions:
Nd (0.131, 0.233, 0.364)
Nd (0.369, 0.733, 0.102)
Nd (0.631, 0.267, 0.898)
Nd (0.869, 0.767, 0.636)
Si (0.024, 0.750, 0.274)
Si (0.107, 0.653, 0.760)
Si (0.250, 0.250, 0.000)
Si (0.393, 0.153, 0.546)
Si (0.476, 0.750, 0.726)
Si (0.524, 0.250, 0.274)
Si (0.607, 0.847, 0.454)
Si (0.750, 0.750, 0.000)
Si (0.893, 0.347, 0.240)
Si (0.976, 0.250, 0.726)
Rh (0.138, 0.890, 0.028)
Rh (0.250, 0.750, 0.500)
Rh (0.362, 0.390, 0.752)
Rh (0.638, 0.610, 0.248)
Rh (0.750, 0.250, 0.500)
Rh (0.862, 0.110, 0.972)



Entry 7:
DFT (GGA-PBE) results for a geometry-optimized NdSi2Rh3 structure.

Computed properties:
M_tot in μB per atom: 0.000
V in Å³ per cell: 100.06
Energy relative to the lowest polymorph listed for this composition in meV/atom: 35
Calculated density in kg/m³: 8449
Space-group type: P6/mmm (191)

Cell lengths 5.598, 5.598, 3.687 Å; angles 90.00, 90.00, 120.00 degrees
Fractional positions:
Nd (0.000, 0.000, 0.000)
Si (0.333, 0.667, 0.000)
Si (0.667, 0.333, 0.000)
Rh (0.000, 0.500, 0.500)
Rh (0.500, 0.000, 0.500)
Rh (0.500, 0.500, 0.500)



Entry 8:
DFT (GGA-PBE) results for a geometry-optimized Nd3Sn13Rh4 structure.

Computed properties:
V in Å³ per cell: 949.22
Energy in eV/atom: -5.36
Calculated density in kg/m³: 8354
Space-group type: Pm-3n (223)

Cell lengths 9.828, 9.828, 9.828 Å; angles 90.00, 90.00, 90.00 degrees
Fractional positions:
Nd (0.000, 0.250, 0.500)
Nd (0.000, 0.750, 0.500)
Nd (0.250, 0.500, 0.000)
Nd (0.500, 0.000, 0.250)
Nd (0.500, 0.000, 0.750)
Nd (0.750, 0.500, 0.000)
Sn (0.000, 0.000, 0.000)
Sn (0.000, 0.308, 0.153)
Sn (0.000, 0.308, 0.847)
Sn (0.000, 0.692, 0.153)
Sn (0.000, 0.692, 0.847)
Sn (0.153, 0.000, 0.308)
Sn (0.153, 0.000, 0.692)
Sn (0.192, 0.500, 0.347)
Sn (0.192, 0.500, 0.653)
Sn (0.308, 0.153, 0.000)
Sn (0.308, 0.847, 0.000)
Sn (0.347, 0.192, 0.500)
Sn (0.347, 0.808, 0.500)
Sn (0.500, 0.347, 0.192)
Sn (0.500, 0.347, 0.808)
Sn (0.500, 0.500, 0.500)
Sn (0.500, 0.653, 0.192)
Sn (0.500, 0.653, 0.808)
Sn (0.653, 0.192, 0.500)
Sn (0.653, 0.808, 0.500)
Sn (0.692, 0.153, 0.000)
Sn (0.692, 0.847, 0.000)
Sn (0.808, 0.500, 0.347)
Sn (0.808, 0.500, 0.653)
Sn (0.847, 0.000, 0.308)
Sn (0.847, 0.000, 0.692)
Rh (0.250, 0.250, 0.250)
Rh (0.250, 0.250, 0.750)
Rh (0.250, 0.750, 0.250)
Rh (0.250, 0.750, 0.750)
Rh (0.750, 0.250, 0.250)
Rh (0.750, 0.250, 0.750)
Rh (0.750, 0.750, 0.250)
Rh (0.750, 0.750, 0.750)



Entry 9:
DFT (GGA-PBE) results for a geometry-optimized NdSnRh structure.

Computed properties:
V in Å³ per cell: 203.68
Energy in eV/atom: -6.23
Calculated density in kg/m³: 8948
Space-group type: P-62m (189)

Cell lengths 7.496, 7.496, 4.185 Å; angles 90.00, 90.00, 120.00 degrees
Fractional positions:
Nd (0.000, 0.587, 0.000)
Nd (0.413, 0.413, 0.000)
Nd (0.587, 0.000, 0.000)
Sn (0.000, 0.249, 0.500)
Sn (0.249, 0.000, 0.500)
Sn (0.751, 0.751, 0.500)
Rh (0.000, 0.000, 0.000)
Rh (0.333, 0.667, 0.500)
Rh (0.667, 0.333, 0.500)



Entry 10:
DFT (GGA-PBE) results for a geometry-optimized Nd2Sn4Rh structure.

Computed properties:
M_tot in μB per atom: 0.000
V in Å³ per cell: 184.53
Energy in eV/atom: -5.38
Calculated density in kg/m³: 7795
Space-group type: Amm2 (38)

Cell lengths 4.600, 9.023, 9.023 Å; angles 29.52, 90.00, 90.00 degrees
Fractional positions:
Nd (0.000, 0.000, 0.000)
Nd (0.500, 0.209, 0.209)
Sn (0.000, 0.343, 0.343)
Sn (0.000, 0.670, 0.670)
Sn (0.500, 0.561, 0.561)
Sn (0.500, 0.843, 0.843)
Rh (0.500, 0.414, 0.414)



Entry 11:
DFT (GGA-PBE) results for a geometry-optimized Nd5Ru2 structure.

Computed properties:
V in Å³ per cell: 397.82
Energy in eV/atom: -6.27
Calculated density in kg/m³: 7708
Space-group type: C2/c (15)

Cell lengths 8.856, 8.856, 7.387 Å; angles 96.12, 96.12, 43.72 degrees
Fractional positions:
Nd (0.079, 0.921, 0.750)
Nd (0.141, 0.294, 0.315)
Nd (0.293, 0.521, 0.085)
Nd (0.294, 0.141, 0.815)
Nd (0.479, 0.707, 0.415)
Nd (0.521, 0.293, 0.585)
Nd (0.706, 0.859, 0.185)
Nd (0.707, 0.479, 0.915)
Nd (0.859, 0.706, 0.685)
Nd (0.921, 0.079, 0.250)
Ru (0.102, 0.677, 0.424)
Ru (0.323, 0.898, 0.076)
Ru (0.677, 0.102, 0.924)
Ru (0.898, 0.323, 0.576)



Entry 12:
DFT (GGA-PBE) results for a geometry-optimized Nd3Ru structure.

Computed properties:
V in Å³ per cell: 470.56
Energy in eV/atom: -6.09
Calculated density in kg/m³: 7535
Space-group type: Pnma (62)

Cell lengths 7.425, 9.737, 6.509 Å; angles 90.00, 90.00, 90.00 degrees
Fractional positions:
Nd (0.040, 0.250, 0.143)
Nd (0.175, 0.068, 0.674)
Nd (0.175, 0.432, 0.674)
Nd (0.325, 0.568, 0.174)
Nd (0.325, 0.932, 0.174)
Nd (0.460, 0.750, 0.643)
Nd (0.540, 0.250, 0.357)
Nd (0.675, 0.068, 0.826)
Nd (0.675, 0.432, 0.826)
Nd (0.825, 0.568, 0.326)
Nd (0.825, 0.932, 0.326)
Nd (0.960, 0.750, 0.857)
Ru (0.114, 0.750, 0.450)
Ru (0.386, 0.250, 0.950)
Ru (0.614, 0.750, 0.050)
Ru (0.886, 0.250, 0.550)



Entry 13:
DFT (GGA-PBE) results for a geometry-optimized NdSb12Ru4 structure.

Computed properties:
V in Å³ per cell: 414.16
Energy in eV/atom: -5.70
Calculated density in kg/m³: 8057
Space-group type: Im-3 (204)

Cell lengths 8.133, 8.133, 8.133 Å; angles 109.47, 109.47, 109.47 degrees
Fractional positions:
Nd (0.000, 0.000, 0.000)
Sb (0.158, 0.339, 0.497)
Sb (0.158, 0.661, 0.819)
Sb (0.181, 0.842, 0.339)
Sb (0.339, 0.181, 0.842)
Sb (0.339, 0.497, 0.158)
Sb (0.497, 0.158, 0.339)
Sb (0.503, 0.842, 0.661)
Sb (0.661, 0.503, 0.842)
Sb (0.661, 0.819, 0.158)
Sb (0.819, 0.158, 0.661)
Sb (0.842, 0.339, 0.181)
Sb (0.842, 0.661, 0.503)
Ru (0.000, 0.000, 0.500)
Ru (0.000, 0.500, 0.000)
Ru (0.500, 0.000, 0.000)
Ru (0.500, 0.500, 0.500)



Entry 14:
DFT (GGA-PBE) results for a geometry-optimized NdSi2Ru3 structure.

Computed properties:
M_tot in μB per atom: 0.030
V in Å³ per cell: 100.14
Energy in eV/atom: -7.89
Calculated density in kg/m³: 8351
Space-group type: P6/mmm (191)

Cell lengths 5.653, 5.653, 3.619 Å; angles 90.00, 90.00, 120.00 degrees
Fractional positions:
Nd (0.000, 0.000, 0.000)
Si (0.333, 0.667, 0.000)
Si (0.667, 0.333, 0.000)
Ru (0.000, 0.500, 0.500)
Ru (0.500, 0.000, 0.500)
Ru (0.500, 0.500, 0.500)



Entry 15:
DFT (GGA-PBE) results for a geometry-optimized Nd20Si9Ru3 structure.

Computed properties:
M_tot in μB per atom: 0.014
V in Å³ per cell: 846.87
Energy in eV/atom: -5.86
Calculated density in kg/m³: 6747
Space-group type: Amm2 (38)

Cell lengths 13.871, 7.814, 7.814 Å; angles 88.84, 90.00, 90.00 degrees
Fractional positions:
Nd (0.000, 0.243, 0.757)
Nd (0.000, 0.757, 0.243)
Nd (0.145, 0.073, 0.073)
Nd (0.146, 0.582, 0.921)
Nd (0.146, 0.921, 0.582)
Nd (0.149, 0.427, 0.427)
Nd (0.355, 0.574, 0.574)
Nd (0.359, 0.083, 0.416)
Nd (0.359, 0.416, 0.083)
Nd (0.359, 0.933, 0.933)
Nd (0.500, 0.252, 0.746)
Nd (0.500, 0.746, 0.252)
Nd (0.641, 0.083, 0.416)
Nd (0.641, 0.416, 0.083)
Nd (0.641, 0.933, 0.933)
Nd (0.645, 0.574, 0.574)
Nd (0.851, 0.427, 0.427)
Nd (0.854, 0.582, 0.921)
Nd (0.854, 0.921, 0.582)
Nd (0.855, 0.073, 0.073)
Si (0.000, 0.141, 0.369)
Si (0.000, 0.369, 0.141)
Si (0.000, 0.629, 0.629)
Si (0.249, 0.252, 0.751)
Si (0.249, 0.751, 0.252)
Si (0.500, 0.637, 0.865)
Si (0.500, 0.865, 0.637)
Si (0.751, 0.252, 0.751)
Si (0.751, 0.751, 0.252)
Ru (0.000, 0.867, 0.867)
Ru (0.500, 0.123, 0.123)
Ru (0.500, 0.381, 0.381)



Entry 16:
DFT (GGA-PBE) results for a geometry-optimized NdSi2Ru structure.

Computed properties:
V in Å³ per cell: 149.37
Energy in eV/atom: -7.06
Calculated density in kg/m³: 6703
Space-group type: P2_1/m (11)

Cell lengths 4.511, 4.070, 8.314 Å; angles 90.00, 101.88, 90.00 degrees
Fractional positions:
Nd (0.084, 0.250, 0.200)
Nd (0.916, 0.750, 0.800)
Si (0.167, 0.750, 0.491)
Si (0.464, 0.250, 0.909)
Si (0.536, 0.750, 0.091)
Si (0.833, 0.250, 0.509)
Ru (0.379, 0.250, 0.612)
Ru (0.621, 0.750, 0.388)